This record from the Materials Project database describes crystalline LiIO3 at its relaxed geometry. The functional is PBE-GGA.

Cell lengths 9.977, 9.977, 6.772 Å; angles 90.00, 90.00, 90.00 degrees
Fractional coordinates of all 40 atoms:
Li1 0.000 0.000 0.000
Li2 0.000 0.500 0.500
Li3 0.250 0.250 0.250
Li4 0.250 0.250 0.750
Li5 0.500 0.000 0.500
Li6 0.500 0.500 0.000
Li7 0.750 0.750 0.250
Li8 0.750 0.750 0.750
I1 0.034 0.739 0.104
I2 0.239 0.966 0.604
I3 0.261 0.534 0.604
I4 0.466 0.761 0.104
I5 0.534 0.239 0.896
I6 0.739 0.466 0.396
I7 0.761 0.034 0.396
I8 0.966 0.261 0.896
O1 0.058 0.170 0.702
O2 0.082 0.221 0.094
O3 0.129 0.654 0.544
O4 0.154 0.871 0.044
O5 0.170 0.442 0.798
O6 0.221 0.418 0.406
O7 0.279 0.082 0.406
O8 0.330 0.058 0.798
O9 0.346 0.629 0.044
O10 0.371 0.846 0.544
O11 0.418 0.279 0.094
O12 0.442 0.330 0.702
O13 0.558 0.670 0.298
O14 0.582 0.721 0.906
O15 0.629 0.154 0.456
O16 0.654 0.371 0.956
O17 0.670 0.942 0.202
O18 0.721 0.918 0.594
O19 0.779 0.582 0.594
O20 0.830 0.558 0.202
O21 0.846 0.129 0.956
O22 0.871 0.346 0.456
O23 0.918 0.779 0.906
O24 0.942 0.830 0.298

Summary:
Uncorrected energy, eV for the cell shown: -179.24
Total moment, μB per cell: 0.000
Theoretical density, Mg/m³: 3.6

=====

This record from the Materials Project database describes crystalline LiIO4 at its relaxed geometry. The functional is PBE-GGA.

Cell lengths 5.386, 8.696, 8.551 Å; angles 90.00, 112.56, 90.00 degrees
Fractional coordinates of all 24 atoms:
Li1 0.082 0.037 0.331
Li2 0.082 0.463 0.831
Li3 0.918 0.537 0.169
Li4 0.918 0.963 0.669
I1 0.348 0.706 0.569
I2 0.348 0.794 0.069
I3 0.652 0.206 0.931
I4 0.652 0.294 0.431
O1 0.132 0.628 0.021
O2 0.132 0.872 0.521
O3 0.246 0.582 0.388
O4 0.246 0.918 0.888
O5 0.310 0.234 0.374
O6 0.310 0.266 0.874
O7 0.323 0.603 0.744
O8 0.323 0.897 0.244
O9 0.677 0.103 0.756
O10 0.677 0.397 0.256
O11 0.690 0.734 0.126
O12 0.690 0.766 0.626
O13 0.754 0.082 0.112
O14 0.754 0.418 0.612
O15 0.868 0.128 0.479
O16 0.868 0.372 0.979

Summary:
Uncorrected energy, eV for the cell shown: -108.73
Total moment, μB per cell: 0.003
Theoretical density, Mg/m³: 3.6

=====

This record from the Materials Project database describes crystalline LiIO3 at its relaxed geometry. The functional is PBE-GGA.

Cell lengths 9.465, 5.930, 5.408 Å; angles 90.00, 90.00, 90.00 degrees
Fractional coordinates of all 20 atoms:
Li1 0.020 0.084 0.000
Li2 0.480 0.584 0.500
Li3 0.520 0.416 0.000
Li4 0.980 0.916 0.500
I1 0.183 0.576 0.047
I2 0.317 0.076 0.547
I3 0.683 0.924 0.047
I4 0.817 0.424 0.547
O1 0.075 0.357 0.193
O2 0.127 0.828 0.215
O3 0.150 0.024 0.704
O4 0.350 0.524 0.204
O5 0.373 0.328 0.715
O6 0.425 0.857 0.693
O7 0.575 0.143 0.193
O8 0.627 0.672 0.215
O9 0.650 0.476 0.704
O10 0.850 0.976 0.204
O11 0.873 0.172 0.715
O12 0.925 0.643 0.693

Summary:
Uncorrected energy, eV for the cell shown: -92.49
Maximum piezoelectric response, C/m2: 0.7
Theoretical density, Mg/m³: 4.0

=====

These records have formation enthalpy at 0 K values of -1.238; -1.118; -1.381 eV/atom, in the order they appear.